Crystalline ScH3C3O6 at its relaxed geometry, computed with PBE.

POSCAR file:
```
ScH3C3O6
1.0
4.4720 -5.7039 0.0000
4.4720 5.7039 0.0000
-2.8031 0.0000 6.6841
Sc H C O
2 6 6 12
Direct
0.5000 0.5000 0.5000 Sc
0.0000 0.0000 0.0000 Sc
0.0515 0.7500 0.4485 H
0.4485 0.0515 0.7500 H
0.7500 0.4485 0.0515 H
0.9485 0.2500 0.5515 H
0.5515 0.9485 0.2500 H
0.2500 0.5515 0.9485 H
0.9544 0.7500 0.5456 C
0.5456 0.9544 0.7500 C
0.7500 0.5456 0.9544 C
0.0456 0.2500 0.4544 C
0.4544 0.0456 0.2500 C
0.2500 0.4544 0.0456 C
0.7867 0.6146 0.4782 O
0.4782 0.7867 0.6146 O
0.6146 0.4782 0.7867 O
0.9782 0.1146 0.2867 O
0.2867 0.9782 0.1146 O
0.1146 0.2867 0.9782 O
0.2133 0.3854 0.5218 O
0.5218 0.2133 0.3854 O
0.3854 0.5218 0.2133 O
0.0218 0.8854 0.7133 O
0.7133 0.0218 0.8854 O
0.8854 0.7133 0.0218 O
```

Space-group type: R-3c (167)

***

Crystalline Na2CuC3 at its relaxed geometry, computed with PBE.

POSCAR file:
```
Na2CuC3
1.0
0.0000 0.0000 4.2093
5.9473 0.0000 0.0000
0.0000 5.9473 0.0000
Na Cu C
4 2 6
Direct
0.5000 0.1772 0.6772 Na
0.5000 0.8228 0.3228 Na
0.5000 0.3228 0.1772 Na
0.5000 0.6772 0.8228 Na
0.0000 0.5000 0.5000 Cu
0.0000 0.0000 0.0000 Cu
0.0000 0.6573 0.1573 C
0.0000 0.3427 0.8427 C
0.0000 0.8427 0.6573 C
0.0000 0.1573 0.3427 C
0.0000 0.0000 0.5000 C
0.0000 0.5000 0.0000 C
```

Space-group type: P4/mbm (127)

***

Crystalline Mg3Zn at its relaxed geometry, computed with PBE.

POSCAR file:
```
Mg3Zn
1.0
-1.5656 2.6120 5.0014
1.5656 -2.6120 5.0014
1.5656 2.6120 -5.0014
Mg Zn
3 1
Direct
0.3453 0.0000 0.3453 Mg
0.7539 0.7584 0.9955 Mg
0.2371 0.2416 0.9955 Mg
0.8304 0.5000 0.3304 Zn
```

Space-group type: Imm2 (44)

***

Number 1: energy relative to the elements -166 kJ per mole of atoms, total magnetization 0.00 μB/cell. Number 2: energy relative to the elements 58 kJ per mole of atoms, total magnetization 0.00 μB/cell. Number 3: energy relative to the elements 0 kJ per mole of atoms, total magnetization 0.00 μB/cell.